[1]
{
  "formula": "ZrAs2O9",
  "functional": "PBE",
  "state": "relaxed",
  "lattice": [[9.4440, 0.0000, 0.0000], [0.0000, 5.5593, 0.0000], [-6.2546, 0.0000, 15.8506]],
  "species": ["Zr", "Zr", "Zr", "Zr", "As", "As", "As", "As", "As", "As", "As", "As", "O", "O", "O", "O", "O", "O", "O", "O", "O", "O", "O", "O", "O", "O", "O", "O", "O", "O", "O", "O", "O", "O", "O", "O", "O", "O", "O", "O", "O", "O", "O", "O", "O", "O", "O", "O"],
  "fractional_positions": [[0.2362, 0.2220, 0.0150], [0.2362, 0.2780, 0.5150], [0.7638, 0.7220, 0.4850], [0.7638, 0.7780, 0.9850], [0.0410, 0.7255, 0.8872], [0.0410, 0.7745, 0.3872], [0.4833, 0.7317, 0.0947], [0.4833, 0.7683, 0.5947], [0.5167, 0.2317, 0.4053], [0.5167, 0.2683, 0.9053], [0.9590, 0.2255, 0.6128], [0.9590, 0.2745, 0.1128], [0.0105, 0.7250, 0.7847], [0.0105, 0.7750, 0.2847], [0.0849, 0.0559, 0.4346], [0.0849, 0.4441, 0.9346], [0.1130, 0.1735, 0.0884], [0.1130, 0.3265, 0.5884], [0.1919, 0.5923, 0.4487], [0.1919, 0.9077, 0.9487], [0.2885, 0.5154, 0.7606], [0.2885, 0.9846, 0.2606], [0.3619, 0.1767, 0.2739], [0.3619, 0.3233, 0.7739], [0.3617, 0.5166, 0.0989], [0.3617, 0.9834, 0.5989], [0.3871, 0.1667, 0.4472], [0.3871, 0.3333, 0.9472], [0.4401, 0.0197, 0.1048], [0.4401, 0.4803, 0.6048], [0.5599, 0.5197, 0.3952], [0.5599, 0.9803, 0.8952], [0.6129, 0.6667, 0.0528], [0.6129, 0.8333, 0.5528], [0.6383, 0.0166, 0.4011], [0.6383, 0.4834, 0.9011], [0.6381, 0.6767, 0.2261], [0.6381, 0.8233, 0.7261], [0.7115, 0.0154, 0.7394], [0.7115, 0.4846, 0.2394], [0.8081, 0.0923, 0.0513], [0.8081, 0.4077, 0.5513], [0.8870, 0.6735, 0.4116], [0.8870, 0.8265, 0.9116], [0.9151, 0.5559, 0.0654], [0.9151, 0.9441, 0.5654], [0.9895, 0.2250, 0.7153], [0.9895, 0.2750, 0.2153]]
}

[2]
{
  "formula": "LiAg2F4",
  "functional": "PBE",
  "state": "relaxed",
  "lattice": [[9.9500, 0.0000, 0.0000], [0.0000, 7.2793, 0.0000], [0.0000, 0.0000, 5.5899]],
  "species": ["Li", "Li", "Li", "Li", "Ag", "Ag", "Ag", "Ag", "Ag", "Ag", "Ag", "Ag", "F", "F", "F", "F", "F", "F", "F", "F", "F", "F", "F", "F", "F", "F", "F", "F"],
  "fractional_positions": [[0.1763, 0.2500, 0.0165], [0.3237, 0.7500, 0.5165], [0.6763, 0.2500, 0.4835], [0.8237, 0.7500, 0.9835], [0.0000, 0.0000, 0.5000], [0.0000, 0.5000, 0.5000], [0.1494, 0.7500, 0.0178], [0.3506, 0.2500, 0.5178], [0.5000, 0.0000, 0.0000], [0.5000, 0.5000, 0.0000], [0.6494, 0.7500, 0.4822], [0.8506, 0.2500, 0.9822], [0.1083, 0.0392, 0.1775], [0.1083, 0.4608, 0.1775], [0.1306, 0.2500, 0.6906], [0.1357, 0.7500, 0.5921], [0.3643, 0.2500, 0.0921], [0.3694, 0.7500, 0.1906], [0.3917, 0.5392, 0.6775], [0.3917, 0.9608, 0.6775], [0.6083, 0.0392, 0.3225], [0.6083, 0.4608, 0.3225], [0.6306, 0.2500, 0.8094], [0.6357, 0.7500, 0.9079], [0.8643, 0.2500, 0.4079], [0.8694, 0.7500, 0.3094], [0.8917, 0.5392, 0.8225], [0.8917, 0.9608, 0.8225]],
  "relative_energy_mev_per_atom": 18
}

[3]
{
  "formula": "MgZn2",
  "functional": "PBE",
  "state": "relaxed",
  "lattice": [[4.9728, 0.0000, 0.0000], [-2.4864, 4.3066, 0.0000], [0.0000, 0.0000, 4.7729]],
  "species": ["Mg", "Mg", "Zn", "Zn", "Zn", "Zn"],
  "fractional_positions": [[0.3333, 0.6667, 0.0000], [0.6667, 0.3333, 0.0000], [0.0000, 0.0000, 0.0000], [0.0000, 0.3196, 0.5000], [0.3196, 0.0000, 0.5000], [0.6804, 0.6804, 0.5000]]
}

[4]
{
  "formula": "BePbO3",
  "functional": "PBE",
  "state": "relaxed",
  "lattice": [[3.6525, 0.0000, 0.0000], [0.0000, 3.6525, 0.0000], [0.0000, 0.0000, 3.6525]],
  "species": ["Be", "Pb", "O", "O", "O"],
  "fractional_positions": [[0.0000, 0.0000, 0.0000], [0.5000, 0.5000, 0.5000], [0.0000, 0.0000, 0.5000], [0.0000, 0.5000, 0.0000], [0.5000, 0.0000, 0.0000]]
}

[5]
{
  "formula": "HoMgRh2",
  "functional": "PBE",
  "state": "relaxed",
  "lattice": [[0.0000, 3.2818, 3.2818], [3.2818, 0.0000, 3.2818], [3.2818, 3.2818, 0.0000]],
  "species": ["Ho", "Mg", "Rh", "Rh"],
  "fractional_positions": [[0.0000, 0.0000, 0.0000], [0.5000, 0.5000, 0.5000], [0.2500, 0.2500, 0.2500], [0.7500, 0.7500, 0.7500]]
}

[6]
{
  "formula": "BaMg30NbO32",
  "functional": "PBE",
  "state": "relaxed",
  "lattice": [[8.6633, 0.0000, 0.0000], [0.0000, 8.6633, 0.0000], [0.0000, 0.0000, 8.7814]],
  "species": ["Ba", "Mg", "Mg", "Mg", "Mg", "Mg", "Mg", "Mg", "Mg", "Mg", "Mg", "Mg", "Mg", "Mg", "Mg", "Mg", "Mg", "Mg", "Mg", "Mg", "Mg", "Mg", "Mg", "Mg", "Mg", "Mg", "Mg", "Mg", "Mg", "Mg", "Mg", "Nb", "O", "O", "O", "O", "O", "O", "O", "O", "O", "O", "O", "O", "O", "O", "O", "O", "O", "O", "O", "O", "O", "O", "O", "O", "O", "O", "O", "O", "O", "O", "O", "O"],
  "fractional_positions": [[0.0000, 0.0000, 0.0000], [0.0000, 0.2592, 0.2543], [0.0000, 0.2592, 0.7457], [0.0000, 0.5000, 0.0000], [0.0000, 0.5000, 0.5000], [0.0000, 0.7408, 0.2543], [0.0000, 0.7408, 0.7457], [0.2510, 0.5000, 0.2505], [0.2510, 0.5000, 0.7495], [0.2524, 0.2524, 0.5000], [0.2524, 0.7476, 0.5000], [0.2574, 0.2574, 0.0000], [0.2574, 0.7426, 0.0000], [0.2592, 0.0000, 0.2543], [0.2592, 0.0000, 0.7457], [0.5000, 0.0000, 0.0000], [0.5000, 0.0000, 0.5000], [0.5000, 0.2510, 0.2505], [0.5000, 0.2510, 0.7495], [0.5000, 0.5000, 0.0000], [0.5000, 0.5000, 0.5000], [0.5000, 0.7490, 0.2505], [0.5000, 0.7490, 0.7495], [0.7408, 0.0000, 0.2543], [0.7408, 0.0000, 0.7457], [0.7426, 0.2574, 0.0000], [0.7426, 0.7426, 0.0000], [0.7476, 0.2524, 0.5000], [0.7476, 0.7476, 0.5000], [0.7490, 0.5000, 0.2505], [0.7490, 0.5000, 0.7495], [0.0000, 0.0000, 0.5000], [0.0000, 0.0000, 0.2654], [0.0000, 0.0000, 0.7346], [0.0000, 0.2626, 0.5000], [0.0000, 0.2800, 0.0000], [0.0000, 0.5000, 0.2554], [0.0000, 0.5000, 0.7446], [0.0000, 0.7200, 0.0000], [0.0000, 0.7374, 0.5000], [0.2493, 0.2493, 0.2498], [0.2493, 0.2493, 0.7502], [0.2493, 0.7507, 0.2498], [0.2493, 0.7507, 0.7502], [0.2523, 0.5000, 0.5000], [0.2560, 0.5000, 0.0000], [0.2626, 0.0000, 0.5000], [0.2800, 0.0000, 0.0000], [0.5000, 0.0000, 0.2554], [0.5000, 0.0000, 0.7446], [0.5000, 0.2523, 0.5000], [0.5000, 0.2560, 0.0000], [0.5000, 0.5000, 0.2514], [0.5000, 0.5000, 0.7486], [0.5000, 0.7440, 0.0000], [0.5000, 0.7477, 0.5000], [0.7200, 0.0000, 0.0000], [0.7374, 0.0000, 0.5000], [0.7440, 0.5000, 0.0000], [0.7477, 0.5000, 0.5000], [0.7507, 0.2493, 0.2498], [0.7507, 0.2493, 0.7502], [0.7507, 0.7507, 0.2498], [0.7507, 0.7507, 0.7502]]
}

[7]
{
  "formula": "PaSiTc2",
  "functional": "PBE",
  "state": "relaxed",
  "lattice": [[0.0000, 3.2362, 3.2362], [3.2362, 0.0000, 3.2362], [3.2362, 3.2362, 0.0000]],
  "species": ["Pa", "Si", "Tc", "Tc"],
  "fractional_positions": [[0.0000, 0.0000, 0.0000], [0.5000, 0.5000, 0.5000], [0.2500, 0.2500, 0.2500], [0.7500, 0.7500, 0.7500]]
}

[8]
{
  "formula": "CsCo2S2",
  "functional": "PBE",
  "state": "relaxed",
  "lattice": [[-1.9007, 1.9007, 6.9730], [1.9007, -1.9007, 6.9730], [1.9007, 1.9007, -6.9730]],
  "species": ["Cs", "Co", "Co", "S", "S"],
  "fractional_positions": [[0.0000, 0.0000, 0.0000], [0.2500, 0.7500, 0.5000], [0.7500, 0.2500, 0.5000], [0.3332, 0.3332, 0.0000], [0.6668, 0.6668, 0.0000]]
}

[9]
{
  "formula": "K4ZrC5O15F2",
  "functional": "PBE",
  "state": "relaxed",
  "lattice": [[8.9541, -6.1338, 0.0000], [8.9541, 6.1338, 0.0000], [-0.0416, 0.0000, 9.1752]],
  "species": ["K", "K", "K", "K", "K", "K", "K", "K", "Zr", "Zr", "C", "C", "C", "C", "C", "C", "C", "C", "C", "C", "O", "O", "O", "O", "O", "O", "O", "O", "O", "O", "O", "O", "O", "O", "O", "O", "O", "O", "O", "O", "O", "O", "O", "O", "O", "O", "O", "O", "O", "O", "F", "F", "F", "F"],
  "fractional_positions": [[0.0874, 0.7720, 0.6999], [0.2280, 0.9126, 0.3001], [0.2523, 0.2523, 0.2600], [0.3562, 0.3562, 0.5970], [0.6438, 0.6438, 0.4030], [0.7477, 0.7477, 0.7400], [0.7720, 0.0874, 0.6999], [0.9126, 0.2280, 0.3001], [0.1331, 0.1331, 0.6871], [0.8669, 0.8669, 0.3129], [0.0171, 0.4417, 0.6768], [0.1046, 0.5967, 0.3638], [0.1235, 0.1235, 0.9762], [0.4033, 0.8954, 0.6362], [0.4417, 0.0171, 0.6768], [0.5583, 0.9829, 0.3232], [0.5967, 0.1046, 0.3638], [0.8765, 0.8765, 0.0238], [0.8954, 0.4033, 0.6362], [0.9829, 0.5583, 0.3232], [0.0036, 0.5596, 0.6955], [0.0357, 0.2146, 0.8965], [0.0796, 0.7211, 0.3760], [0.1217, 0.1217, 0.1138], [0.1279, 0.3429, 0.6834], [0.2146, 0.0357, 0.8965], [0.2148, 0.5070, 0.3855], [0.2314, 0.6995, 0.9966], [0.2789, 0.9204, 0.6240], [0.3005, 0.7686, 0.0034], [0.3429, 0.1279, 0.6834], [0.4404, 0.9964, 0.3045], [0.4443, 0.5455, 0.2615], [0.4545, 0.5557, 0.7385], [0.4930, 0.7852, 0.6145], [0.5070, 0.2148, 0.3855], [0.5455, 0.4443, 0.2615], [0.5557, 0.4545, 0.7385], [0.5596, 0.0036, 0.6955], [0.6571, 0.8721, 0.3166], [0.6995, 0.2314, 0.9966], [0.7211, 0.0796, 0.3760], [0.7686, 0.3005, 0.0034], [0.7852, 0.4930, 0.6145], [0.7854, 0.9643, 0.1035], [0.8721, 0.6571, 0.3166], [0.8783, 0.8783, 0.8862], [0.9204, 0.2789, 0.6240], [0.9643, 0.7854, 0.1035], [0.9964, 0.4404, 0.3045], [0.0201, 0.0201, 0.6736], [0.1448, 0.1448, 0.4599], [0.8552, 0.8552, 0.5401], [0.9799, 0.9799, 0.3264]]
}

[10]
{
  "formula": "NdMg16Al12",
  "functional": "PBE",
  "state": "relaxed",
  "lattice": [[-5.2828, 5.2828, 5.2828], [5.2828, -5.2828, 5.2828], [5.2828, 5.2828, -5.2828]],
  "species": ["Nd", "Mg", "Mg", "Mg", "Mg", "Mg", "Mg", "Mg", "Mg", "Mg", "Mg", "Mg", "Mg", "Mg", "Mg", "Mg", "Mg", "Al", "Al", "Al", "Al", "Al", "Al", "Al", "Al", "Al", "Al", "Al", "Al"],
  "fractional_positions": [[0.0000, 0.0000, 0.0000], [0.0000, 0.0000, 0.3615], [0.0000, 0.3197, 0.6025], [0.0000, 0.3615, 0.0000], [0.0000, 0.6025, 0.3197], [0.2828, 0.6803, 0.6803], [0.3197, 0.0000, 0.6025], [0.3197, 0.6025, 0.0000], [0.3615, 0.0000, 0.0000], [0.3975, 0.3975, 0.7172], [0.3975, 0.7172, 0.3975], [0.6025, 0.0000, 0.3197], [0.6025, 0.3197, 0.0000], [0.6385, 0.6385, 0.6385], [0.6803, 0.2828, 0.6803], [0.6803, 0.6803, 0.2828], [0.7172, 0.3975, 0.3975], [0.0000, 0.6295, 0.8123], [0.0000, 0.8123, 0.6295], [0.1828, 0.3705, 0.3705], [0.1877, 0.1877, 0.8172], [0.1877, 0.8172, 0.1877], [0.3705, 0.1828, 0.3705], [0.3705, 0.3705, 0.1828], [0.6295, 0.0000, 0.8123], [0.6295, 0.8123, 0.0000], [0.8123, 0.0000, 0.6295], [0.8123, 0.6295, 0.0000], [0.8172, 0.1877, 0.1877]],
  "relative_energy_mev_per_atom": 0
}

[11]
{
  "formula": "TiP2O7",
  "functional": "PBE",
  "state": "relaxed",
  "lattice": [[8.2271, 0.0000, 0.0000], [0.0000, 8.2271, 0.0000], [0.0000, 0.0000, 8.2271]],
  "species": ["Ti", "Ti", "Ti", "Ti", "P", "P", "P", "P", "P", "P", "P", "P", "O", "O", "O", "O", "O", "O", "O", "O", "O", "O", "O", "O", "O", "O", "O", "O", "O", "O", "O", "O", "O", "O", "O", "O", "O", "O", "O", "O"],
  "fractional_positions": [[0.0000, 0.0000, 0.0000], [0.0000, 0.5000, 0.5000], [0.5000, 0.0000, 0.5000], [0.5000, 0.5000, 0.0000], [0.1107, 0.6107, 0.8893], [0.1107, 0.8893, 0.3893], [0.3893, 0.1107, 0.8893], [0.3893, 0.3893, 0.3893], [0.6107, 0.6107, 0.6107], [0.6107, 0.8893, 0.1107], [0.8893, 0.1107, 0.6107], [0.8893, 0.3893, 0.1107], [0.0000, 0.0000, 0.5000], [0.0000, 0.5000, 0.0000], [0.0574, 0.7146, 0.4183], [0.0574, 0.7854, 0.9183], [0.0817, 0.5574, 0.7146], [0.0817, 0.9426, 0.2146], [0.2146, 0.0817, 0.9426], [0.2146, 0.4183, 0.4426], [0.2854, 0.5817, 0.9426], [0.2854, 0.9183, 0.4426], [0.4183, 0.0574, 0.7146], [0.4183, 0.4426, 0.2146], [0.4426, 0.2146, 0.4183], [0.4426, 0.2854, 0.9183], [0.5000, 0.0000, 0.0000], [0.5000, 0.5000, 0.5000], [0.5574, 0.7146, 0.0817], [0.5574, 0.7854, 0.5817], [0.5817, 0.5574, 0.7854], [0.5817, 0.9426, 0.2854], [0.7146, 0.0817, 0.5574], [0.7146, 0.4183, 0.0574], [0.7854, 0.5817, 0.5574], [0.7854, 0.9183, 0.0574], [0.9183, 0.0574, 0.7854], [0.9183, 0.4426, 0.2854], [0.9426, 0.2146, 0.0817], [0.9426, 0.2854, 0.5817]],
  "relative_energy_mev_per_atom": 12
}

[12]
{
  "formula": "PrSnPd",
  "functional": "PBE",
  "state": "relaxed",
  "lattice": [[7.6018, 0.0000, 0.0000], [0.0000, 4.7394, 0.0000], [0.0000, 0.0000, 8.0690]],
  "species": ["Pr", "Pr", "Pr", "Pr", "Sn", "Sn", "Sn", "Sn", "Pd", "Pd", "Pd", "Pd"],
  "fractional_positions": [[0.0131, 0.2500, 0.2006], [0.4869, 0.7500, 0.7006], [0.5131, 0.2500, 0.2994], [0.9869, 0.7500, 0.7994], [0.1862, 0.2500, 0.5868], [0.3138, 0.7500, 0.0868], [0.6862, 0.2500, 0.9132], [0.8138, 0.7500, 0.4132], [0.1999, 0.7500, 0.4139], [0.3001, 0.2500, 0.9139], [0.6999, 0.7500, 0.0861], [0.8001, 0.2500, 0.5861]]
}

[13]
{
  "formula": "BaSrSmSeO6",
  "functional": "PBE",
  "state": "relaxed",
  "lattice": [[0.0000, 4.2235, 4.2235], [4.2235, 0.0000, 4.2235], [4.2235, 4.2235, 0.0000]],
  "species": ["Ba", "Sr", "Sm", "Se", "O", "O", "O", "O", "O", "O"],
  "fractional_positions": [[0.0000, 0.0000, 0.0000], [0.5000, 0.5000, 0.5000], [0.2500, 0.2500, 0.2500], [0.7500, 0.7500, 0.7500], [0.5185, 0.5185, 0.9815], [0.5185, 0.9815, 0.5185], [0.5185, 0.9815, 0.9815], [0.9815, 0.5185, 0.5185], [0.9815, 0.5185, 0.9815], [0.9815, 0.9815, 0.5185]],
  "relative_energy_mev_per_atom": 20
}

[14]
{
  "formula": "NpSe3",
  "functional": "PBE",
  "state": "relaxed",
  "lattice": [[-2.0573, 2.0573, 4.9231], [2.0573, -2.0573, 4.9231], [2.0573, 2.0573, -4.9231]],
  "species": ["Np", "Se", "Se", "Se"],
  "fractional_positions": [[0.0000, 0.0000, 0.0000], [0.2500, 0.7500, 0.5000], [0.5000, 0.5000, 0.0000], [0.7500, 0.2500, 0.5000]]
}

| no. | formation energy (meV/atom) |
| --- | --- |
| 1 | -1456 |
| 2 | -1826 |
| 3 | -19 |
| 4 | -1392 |
| 5 | -736 |
| 6 | -2888 |
| 7 | -321 |
| 8 | -807 |
| 9 | -1736 |
| 10 | -69 |
| 11 | -2950 |
| 12 | -898 |
| 13 | -2610 |
| 14 | -949 |